Record 1
VASP calculation (PBE) on a relaxed structure of Ce21Fe8Bi7C12.

Results
- energy of formation (meV/atom) = -469

abc: 11.3969 11.3981 11.3965
angles: 59.98 60.02 60.02
With the nearest neighbours (Å) after each atom.
Fractional positions:
Bi 0.7079 0.2920 0.7081  9 Ce 3.35-3.38
Bi 0.2921 0.7080 0.2920  9 Ce 3.35-3.38
Bi 0.7079 0.7081 0.2920  9 Ce 3.35-3.38
Bi 0.2921 0.7080 0.7080  9 Ce 3.35-3.38
Bi 0.7079 0.2920 0.2920  9 Ce 3.35-3.38
Bi 0.0000 0.0000 0.0000  12 Ce 3.91
Bi 0.2921 0.2920 0.7080  9 Ce 3.35-3.38
Ce 0.0000 0.6572 0.3427  2 C 2.46
Ce 0.9163 0.3612 0.3612  3 C 2.59-2.60
Ce 0.6572 0.0001 0.0001  2 C 2.46
Ce 0.0000 0.3429 0.6571  2 C 2.46
Ce 0.3614 0.3612 0.9162  3 C 2.60
Ce 0.0000 0.0000 0.3428  2 C 2.46
Ce 0.0000 0.0000 0.6572  2 C 2.46
Ce 0.6572 0.0001 0.3426  2 C 2.46
Ce 0.6387 0.0837 0.6388  3 C 2.60
Ce 0.0000 0.6571 0.0000  2 C 2.46
Ce 0.6386 0.6388 0.6388  3 C 2.60
Ce 0.5000 0.5001 0.4998  6 Bi 3.35
Ce 0.6386 0.6387 0.0840  3 C 2.60
Ce 0.6571 0.3427 0.0001  2 C 2.46
Ce 0.3613 0.3612 0.3611  3 C 2.59-2.60
Ce 0.0837 0.6388 0.6388  3 C 2.60
Ce 0.3614 0.9163 0.3612  3 C 2.59-2.60
Ce 0.3428 0.6572 0.0000  2 C 2.46
Ce 0.3428 0.0000 0.6572  2 C 2.46
Ce 0.0000 0.3428 0.0000  2 C 2.46
Ce 0.3428 0.0000 0.0000  2 C 2.46
C 0.1043 0.1043 0.3957  2 Fe 1.93
C 0.8958 0.8958 0.6042  2 Fe 1.93
C 0.6041 0.6042 0.8959  2 Fe 1.93
C 0.8958 0.6043 0.6042  2 Fe 1.93
C 0.1042 0.3958 0.1042  2 Fe 1.93
C 0.1043 0.3957 0.3957  2 Fe 1.93
C 0.3958 0.3958 0.1041  2 Fe 1.93
C 0.3959 0.1042 0.1042  2 Fe 1.93
C 0.6042 0.8958 0.6041  2 Fe 1.93
C 0.8958 0.6042 0.8958  2 Fe 1.93
C 0.6042 0.8958 0.8959  2 Fe 1.93
C 0.3958 0.1042 0.3958  2 Fe 1.93
Fe 0.4189 0.1937 0.1938  3 C 1.93
Fe 0.5812 0.8063 0.8063  3 C 1.93
Fe 0.1937 0.4188 0.1937  3 C 1.93
Fe 0.8062 0.5812 0.8063  3 C 1.93
Fe 0.1938 0.1937 0.4187  3 C 1.93
Fe 0.8062 0.8063 0.5813  3 C 1.93
Fe 0.8062 0.8063 0.8063  3 C 1.93
Fe 0.1938 0.1937 0.1938  3 C 1.93

***

Record 2
VASP calculation (PBE) on a relaxed structure of GaSi6BiH54C18N4Cl4.

Results
- energy of formation (meV/atom) = -276

abc: 9.7900 10.1959 12.7950
angles: 71.72 68.46 87.50
With the nearest neighbours (Å) after each atom.
Fractional positions:
H 0.7464 0.2792 0.1936  1 C 1.10
H 0.4487 0.9958 0.9062  1 C 1.10
H 0.5550 0.3417 0.3633  1 C 1.10
H 0.1874 0.0387 0.2096  1 C 1.10
H 0.9173 0.2357 0.4578  1 C 1.10
H 0.3199 0.6375 0.6244  1 C 1.10
H 0.0745 0.1825 0.2177  1 C 1.10
H 0.4896 0.7135 0.6062  1 C 1.10
H 0.4732 0.4443 0.4558  1 C 1.10
H 0.7301 0.1061 0.9724  1 C 1.10
H 0.1484 0.7013 0.8752  1 C 1.10
H 0.6716 0.3862 0.6626  1 C 1.10
H 0.1325 0.4384 0.8326  1 C 1.10
H 0.0483 0.8250 0.5035  1 C 1.10
H 0.4635 0.9687 0.4919  1 C 1.10
H 0.5849 0.1187 0.4487  1 C 1.10
H 0.8433 0.4408 0.8413  1 C 1.10
H 0.9428 0.1290 0.5887  1 C 1.10
H 0.6519 0.5290 0.0586  1 C 1.10
H 0.3934 0.0304 0.0417  1 C 1.10
H 0.0988 0.4574 0.4190  1 C 1.10
H 0.4769 0.5397 0.6086  1 C 1.10
H 0.3566 0.1029 0.6157  1 C 1.10
H 0.7522 0.8489 0.7328  1 C 1.10
H 0.8118 0.1335 0.1459  1 C 1.10
H 0.0262 0.3521 0.5709  1 C 1.10
H 0.9963 0.0096 0.2918  1 C 1.10
H 0.7542 0.0680 0.8417  1 C 1.10
H 0.8305 0.2287 0.8313  1 C 1.10
H 0.6337 0.2148 0.6681  1 C 1.10
H 0.4884 0.3250 0.6940  1 C 1.10
H 0.2624 0.2318 0.6750  1 C 1.10
H 0.6560 0.7886 0.6615  1 C 1.10
H 0.1445 0.3951 0.9738  1 C 1.10
H 0.4573 0.4855 0.3160  1 C 1.10
H 0.5570 0.8456 0.7855  1 C 1.10
H 0.5275 0.9539 0.1456  1 C 1.10
H 0.7379 0.6964 0.9784  1 C 1.10
H 0.1612 0.1016 0.6628  1 C 1.10
H 0.3064 0.1072 0.9399  1 C 1.10
H 0.3143 0.8098 0.7941  1 C 1.10
H 0.8472 0.5347 0.6961  1 C 1.10
H 0.1387 0.8883 0.5788  1 C 1.10
H 0.4285 0.8636 0.2978  1 C 1.10
H 0.9203 0.6150 0.7713  1 C 1.10
H 0.2704 0.7103 0.9460  1 C 1.10
H 0.6244 0.8681 0.2373  1 C 1.10
H 0.7096 0.2513 0.0756  1 C 1.10
H 0.2424 0.8570 0.4431  1 C 1.10
H 0.2533 0.3132 0.8697  1 C 1.10
H 0.6564 0.9648 0.4190  1 C 1.10
H 0.5424 0.6739 0.0384  1 C 1.10
H 0.1645 0.4884 0.5212  1 C 1.10
H 0.8517 0.0574 0.5199  1 C 1.10
Cl 0.8443 0.6951 0.3956  1 Ga 2.21
Cl 0.9554 0.4845 0.2009  1 Ga 2.22
Cl 0.2261 0.7083 0.1994  1 Ga 2.22
Cl 0.9511 0.8590 0.0803  1 Ga 2.20
N 0.4988 0.5025 0.8715  1 N 1.45
N 0.3985 0.1935 0.2718  1 N 1.44
N 0.2694 0.1945 0.3722  1 N 1.44
N 0.5002 0.3588 0.9379  1 N 1.45
C 0.1269 0.4062 0.4967  3 H 1.10
C 0.4179 0.6165 0.6483  3 H 1.10
C 0.1395 0.8951 0.4910  3 H 1.10
C 0.0943 0.0786 0.2675  3 H 1.10
C 0.7347 0.1520 0.8813  3 H 1.10
C 0.6512 0.7897 0.7484  3 H 1.10
C 0.5904 0.2957 0.7088  3 H 1.10
C 0.5296 0.9291 0.2348  3 H 1.10
C 0.9420 0.1318 0.5024  3 H 1.10
C 0.8314 0.5424 0.7835  3 H 1.10
C 0.4585 0.3988 0.3929  3 H 1.10
C 0.4127 0.0778 0.9470  3 H 1.10
C 0.2093 0.4112 0.8794  3 H 1.10
C 0.7191 0.1993 0.1617  3 H 1.10
C 0.2658 0.7092 0.8618  3 H 1.10
C 0.6425 0.6279 0.9954  3 H 1.10
C 0.5637 0.0306 0.4233  3 H 1.10
C 0.2647 0.1687 0.6185  3 H 1.10
Si 0.3541 0.5591 0.8146  1 N 1.81, 3 C 1.87-1.88
Si 0.1156 0.0765 0.4074  1 N 1.80, 3 C 1.87-1.88
Si 0.2800 0.2889 0.4682  1 N 1.81, 3 C 1.87-1.88
Si 0.5593 0.2251 0.8700  1 N 1.80, 3 C 1.87-1.88
Si 0.6515 0.6116 0.8509  1 N 1.79, 3 C 1.87-1.88
Si 0.5498 0.0873 0.2739  1 N 1.80, 3 C 1.87
Ga 0.9920 0.6889 0.2189  4 Cl 2.20-2.22
Bi 0.3704 0.3528 0.1217  2 N 2.19-2.21

***

Record 3
VASP calculation (PBE) on a relaxed structure of BiH14C4N8Cl5O2.

Results
- energy of formation (meV/atom) = -579

abc: 7.8691 21.0833 11.0295
angles: 90.00 90.00 90.00
With the nearest neighbours (Å) after each atom.
Fractional positions:
H 0.0034 0.6677 0.2517  1 N 1.02
H 0.0417 0.6494 0.4440  1 N 1.02
H 0.1712 0.9083 0.7213  1 N 1.02
H 0.7229 0.9958 0.1363  1 N 1.03
H 0.0817 0.6526 0.6389  1 N 1.02
H 0.0727 0.6161 0.1394  1 N 1.03
H 0.8288 0.0917 0.2787  1 N 1.02
H 0.2771 0.4958 0.8637  1 N 1.03
H 0.0727 0.8839 0.1394  1 N 1.03
H 0.7229 0.5042 0.1363  1 N 1.03
H 0.8288 0.4083 0.2787  1 N 1.02
H 0.4966 0.3323 0.7517  1 N 1.02
H 0.5034 0.8323 0.2483  1 N 1.02
H 0.5417 0.8506 0.0560  1 N 1.02
H 0.4183 0.1526 0.1389  1 N 1.02
H 0.2229 0.5042 0.3637  1 N 1.03
H 0.9966 0.1677 0.7483  1 N 1.02
H 0.1712 0.5917 0.7213  1 N 1.02
H 0.5417 0.6494 0.0560  1 N 1.02
H 0.4583 0.3506 0.9440  1 N 1.02
H 0.7771 0.0042 0.6363  1 N 1.03
H 0.1979 0.9848 0.2028  1 N 1.03
H 0.3288 0.4083 0.2213  1 N 1.02
H 0.9273 0.3839 0.8606  1 N 1.03
H 0.3021 0.4848 0.7028  1 N 1.03
H 0.1979 0.5152 0.2028  1 N 1.03
H 0.9583 0.3506 0.5560  1 N 1.02
H 0.3288 0.0917 0.2213  1 N 1.02
H 0.4273 0.1161 0.6394  1 N 1.03
H 0.8021 0.0152 0.7972  1 N 1.03
H 0.9183 0.3474 0.3611  1 N 1.02
H 0.9273 0.1161 0.8606  1 N 1.03
H 0.2771 0.0042 0.8637  1 N 1.03
H 0.5034 0.6677 0.2483  1 N 1.02
H 0.5727 0.8839 0.3606  1 N 1.03
H 0.6712 0.5917 0.7787  1 N 1.02
H 0.0817 0.8474 0.6389  1 N 1.02
H 0.5817 0.8474 0.8611  1 N 1.02
H 0.0417 0.8506 0.4440  1 N 1.02
H 0.0034 0.8323 0.2517  1 N 1.02
H 0.9966 0.3323 0.7483  1 N 1.02
H 0.6979 0.5152 0.2972  1 N 1.03
H 0.5727 0.6161 0.3606  1 N 1.03
H 0.2229 0.9958 0.3637  1 N 1.03
H 0.4273 0.3839 0.6394  1 N 1.03
H 0.9183 0.1526 0.3611  1 N 1.02
H 0.6979 0.9848 0.2972  1 N 1.03
H 0.8021 0.4848 0.7972  1 N 1.03
H 0.7771 0.4958 0.6363  1 N 1.03
H 0.9583 0.1494 0.5560  1 N 1.02
H 0.4183 0.3474 0.1389  1 N 1.02
H 0.4583 0.1494 0.9440  1 N 1.02
H 0.3021 0.0152 0.7028  1 N 1.03
H 0.5817 0.6526 0.8611  1 N 1.02
H 0.4966 0.1677 0.7517  1 N 1.02
H 0.6712 0.9083 0.7787  1 N 1.02
O 0.7761 0.4791 0.4665  1 C 1.25
O 0.2761 0.0209 0.0335  1 C 1.25
O 0.7761 0.0209 0.4665  1 C 1.25
O 0.2239 0.9791 0.5335  1 C 1.25
O 0.2239 0.5209 0.5335  1 C 1.25
O 0.7239 0.5209 0.9665  1 C 1.25
O 0.2761 0.4791 0.0335  1 C 1.25
O 0.7239 0.9791 0.9665  1 C 1.25
C 0.3893 0.4142 0.8156  3 N 1.33-1.37
C 0.6107 0.9142 0.1844  3 N 1.33-1.37
C 0.8893 0.0858 0.6844  3 N 1.33-1.37
C 0.1568 0.9255 0.5378  1 O 1.25, 1 N 1.34
C 0.1107 0.5858 0.3156  3 N 1.33-1.37
C 0.8432 0.4255 0.4622  1 O 1.25, 1 N 1.34
C 0.3432 0.0745 0.0378  1 O 1.25, 1 N 1.34
C 0.1568 0.5745 0.5378  1 O 1.25, 1 N 1.34
C 0.1107 0.9142 0.3156  3 N 1.33-1.37
C 0.8893 0.4142 0.6844  3 N 1.33-1.37
C 0.6107 0.5858 0.1844  3 N 1.33-1.37
C 0.6568 0.5745 0.9622  1 O 1.25, 1 N 1.34
C 0.3432 0.4255 0.0378  1 O 1.25, 1 N 1.34
C 0.3893 0.0858 0.8156  3 N 1.33-1.37
C 0.8432 0.0745 0.4622  1 O 1.25, 1 N 1.34
C 0.6568 0.9255 0.9622  1 O 1.25, 1 N 1.34
Bi 0.1445 0.7500 0.9265  5 Cl 2.56-2.82
Bi 0.6445 0.7500 0.5735  5 Cl 2.56-2.82
Bi 0.8555 0.2500 0.0735  5 Cl 2.56-2.82
Bi 0.3555 0.2500 0.4265  5 Cl 2.56-2.82
N 0.4017 0.1060 0.9329  1 H 1.02
N 0.9017 0.1060 0.5671  1 H 1.02
N 0.3191 0.0299 0.7906  2 H 1.03
N 0.3191 0.4701 0.7906  2 H 1.03
N 0.6809 0.5299 0.2094  2 H 1.03
N 0.6809 0.9701 0.2094  2 H 1.03
N 0.1304 0.8922 0.6394  2 H 1.02
N 0.5480 0.8763 0.2702  2 H 1.02-1.03
N 0.6304 0.8922 0.8606  2 H 1.02
N 0.1809 0.9701 0.2906  2 H 1.03
N 0.1304 0.6078 0.6394  2 H 1.02
N 0.5480 0.6237 0.2702  2 H 1.02-1.03
N 0.0983 0.8940 0.4329  1 H 1.02
N 0.3696 0.1078 0.1394  2 H 1.02
N 0.9017 0.3940 0.5671  1 H 1.02
N 0.4017 0.3940 0.9329  1 H 1.02
N 0.9520 0.3763 0.7702  2 H 1.02-1.03
N 0.9520 0.1237 0.7702  2 H 1.02-1.03
N 0.0480 0.6237 0.2298  2 H 1.02-1.03
N 0.1809 0.5299 0.2906  2 H 1.03
N 0.0480 0.8763 0.2298  2 H 1.02-1.03
N 0.6304 0.6078 0.8606  2 H 1.02
N 0.5983 0.6060 0.0671  1 H 1.02
N 0.8696 0.1078 0.3606  2 H 1.02
N 0.8696 0.3922 0.3606  2 H 1.02
N 0.0983 0.6060 0.4329  1 H 1.02
N 0.4520 0.3763 0.7298  2 H 1.02-1.03
N 0.8191 0.4701 0.7094  2 H 1.03
N 0.5983 0.8940 0.0671  1 H 1.02
N 0.8191 0.0299 0.7094  2 H 1.03
N 0.4520 0.1237 0.7298  2 H 1.02-1.03
N 0.3696 0.3922 0.1394  2 H 1.02
Cl 0.0338 0.2500 0.2951  2 H 2.36
Cl 0.6395 0.8793 0.5603  2 H 2.27-2.50
Cl 0.8669 0.7500 0.3886  4 H 2.54-2.60, 1 Bi 2.69
Cl 0.8605 0.1207 0.0603  2 H 2.27-2.50
Cl 0.1198 0.2500 0.9381  1 Bi 2.56
Cl 0.9662 0.7500 0.7049  2 H 2.36
Cl 0.3669 0.7500 0.1114  4 H 2.54-2.60, 1 Bi 2.69
Cl 0.3605 0.3793 0.4397  2 H 2.27-2.50
Cl 0.1331 0.2500 0.6114  4 H 2.54-2.60, 1 Bi 2.69
Cl 0.6395 0.6207 0.5603  2 H 2.27-2.50
Cl 0.3605 0.1207 0.4397  2 H 2.27-2.50
Cl 0.1395 0.6207 0.9397  2 H 2.27-2.50
Cl 0.5338 0.2500 0.2049  2 H 2.36
Cl 0.1395 0.8793 0.9397  2 H 2.27-2.50
Cl 0.8802 0.7500 0.0619  1 Bi 2.56
Cl 0.4662 0.7500 0.7951  2 H 2.36
Cl 0.6331 0.2500 0.8886  4 H 2.54-2.60, 1 Bi 2.69
Cl 0.3802 0.7500 0.4381  1 Bi 2.56
Cl 0.6198 0.2500 0.5619  1 Bi 2.56
Cl 0.8605 0.3793 0.0603  2 H 2.27-2.50